# EuAl20V2

A relaxed EuAl20V2 crystal (GGA-PBE, the Materials Project database).

```
EuAl20V2
1.0
0.0000 7.2785 7.2785
7.2785 0.0000 7.2785
7.2785 7.2785 0.0000
Eu Al V
2 40 4
Direct
0.1250 0.1250 0.1250
0.8750 0.8750 0.8750
0.0000 0.0000 0.0000
0.0000 0.0000 0.5000
0.0000 0.5000 0.0000
0.0567 0.3256 0.3256
0.0567 0.3256 0.7921
0.0567 0.7921 0.3256
0.2079 0.6744 0.6744
0.2079 0.6744 0.9433
0.2079 0.9433 0.6744
0.2361 0.2361 0.5139
0.2361 0.5139 0.2361
0.2361 0.5139 0.5139
0.3256 0.0567 0.3256
0.3256 0.0567 0.7921
0.3256 0.3256 0.0567
0.3256 0.3256 0.7921
0.3256 0.7921 0.0567
0.3256 0.7921 0.3256
0.4861 0.4861 0.7639
0.4861 0.7639 0.4861
0.4861 0.7639 0.7639
0.5000 0.0000 0.0000
0.5139 0.2361 0.2361
0.5139 0.2361 0.5139
0.5139 0.5139 0.2361
0.6744 0.2079 0.6744
0.6744 0.2079 0.9433
0.6744 0.6744 0.2079
0.6744 0.6744 0.9433
0.6744 0.9433 0.2079
0.6744 0.9433 0.6744
0.7639 0.4861 0.4861
0.7639 0.4861 0.7639
0.7639 0.7639 0.4861
0.7921 0.0567 0.3256
0.7921 0.3256 0.0567
0.7921 0.3256 0.3256
0.9433 0.2079 0.6744
0.9433 0.6744 0.2079
0.9433 0.6744 0.6744
0.0000 0.5000 0.5000
0.5000 0.0000 0.5000
0.5000 0.5000 0.0000
0.5000 0.5000 0.5000
```

Results
DFT total energy (eV per atom): -4.73
Energy relative to the elements (eV per atom): -0.24

# BaSrSmBiO6

A relaxed BaSrSmBiO6 crystal (GGA-PBE, the Materials Project database).

```
BaSrSmBiO6
1.0
8.7043 0.0000 0.0000
0.0000 8.7072 0.0000
0.0000 0.0000 8.7122
Ba Sr Sm Bi O
4 4 4 4 24
Direct
0.0000 0.0000 0.0000
0.0000 0.0000 0.5000
0.5000 0.0000 0.0000
0.5000 0.5000 0.5000
0.0000 0.5000 0.0000
0.0000 0.5000 0.5000
0.5000 0.0000 0.5000
0.5000 0.5000 0.0000
0.2509 0.2525 0.7493
0.2509 0.7475 0.2507
0.7491 0.2525 0.2507
0.7491 0.7475 0.7493
0.2501 0.2534 0.2509
0.2501 0.7466 0.7491
0.7499 0.2534 0.7491
0.7499 0.7466 0.2509
0.0086 0.2225 0.2807
0.0086 0.7775 0.7193
0.2129 0.2891 0.0095
0.2129 0.7109 0.9905
0.2149 0.4915 0.2956
0.2149 0.5085 0.7044
0.2761 0.0101 0.2185
0.2761 0.9899 0.7815
0.2943 0.2156 0.4904
0.2943 0.7844 0.5096
0.4901 0.2919 0.2114
0.4901 0.7081 0.7886
0.5099 0.2919 0.7886
0.5099 0.7081 0.2114
0.7057 0.2156 0.5096
0.7057 0.7844 0.4904
0.7239 0.0101 0.7815
0.7239 0.9899 0.2185
0.7851 0.4915 0.7044
0.7851 0.5085 0.2956
0.7871 0.2891 0.9905
0.7871 0.7109 0.0095
0.9914 0.2225 0.7193
0.9914 0.7775 0.2807
```

Results
DFT total energy (eV per atom): -6.56
Energy relative to the elements (eV per atom): -2.78
Relative energy among the computed polymorphs (kJ/mol of atoms): 0.0

# ScS

A relaxed ScS crystal (GGA-PBE, the Materials Project database).

```
ScS
1.0
0.0000 2.6108 2.6108
2.6108 0.0000 2.6108
2.6108 2.6108 0.0000
Sc S
1 1
Direct
0.0000 0.0000 0.0000
0.5000 0.5000 0.5000
```

Results
DFT total energy (eV per atom): -7.10
Energy relative to the elements (eV per atom): -2.12

# Li2SbAu

A relaxed Li2SbAu crystal (GGA-PBE, the Materials Project database).

```
Li2SbAu
1.0
0.0000 3.3082 3.3082
3.3082 0.0000 3.3082
3.3082 3.3082 0.0000
Li Sb Au
2 1 1
Direct
0.0000 0.0000 0.0000
0.2500 0.2500 0.2500
0.5000 0.5000 0.5000
0.7500 0.7500 0.7500
```

Results
DFT total energy (eV per atom): -3.34
Energy relative to the elements (eV per atom): -0.54